No. 1
A geometry-optimized Na2Ti6Zn2Si3S9O48 structure, computed with GGA-PBE.

Cell: 8.6634 15.0411 22.4595 Å, 90.12 90.05 90.00°
Fractional coordinates of all 210 atoms:
Na: 0.0000 0.0000 0.0000
Na: 0.0020 0.0050 0.4981
Na: 0.5023 0.4992 0.9997
Na: 0.5054 0.4988 0.4980
Na: 0.5072 0.8332 0.1620
Na: 0.9977 0.3322 0.6600
Ti: 0.0007 0.6728 0.9782
Ti: 0.0023 0.3222 0.0200
Ti: 0.0047 0.0094 0.8506
Ti: 0.0129 0.0071 0.3506
Ti: 0.4912 0.5006 0.8463
Ti: 0.4945 0.5071 0.3511
Ti: 0.5001 0.8297 0.8051
Ti: 0.5028 0.8229 0.5191
Ti: 0.5065 0.1655 0.9734
Ti: 0.5085 0.1699 0.6816
Ti: 0.5095 0.5069 0.6375
Ti: 0.5099 0.1689 0.1890
Ti: 0.5129 0.1757 0.4731
Ti: 0.9949 0.6722 0.1866
Ti: 0.9959 0.0067 0.1393
Ti: 0.9962 0.3230 0.3077
Ti: 0.9964 0.6644 0.4716
Ti: 0.9989 0.6686 0.6860
Zn: 0.0020 0.9995 0.6440
Zn: 0.0072 0.3323 0.8151
Zn: 0.4962 0.8328 0.3152
Zn: 0.5009 0.4990 0.1456
Zn: 0.5115 0.8330 0.0184
Zn: 0.9882 0.3260 0.5170
Si: 0.1500 0.1437 0.2448
Si: 0.1510 0.1913 0.9116
Si: 0.3544 0.6428 0.7443
Si: 0.3543 0.6912 0.4114
Si: 0.6510 0.3141 0.5805
Si: 0.7211 0.6689 0.5796
Si: 0.7837 0.1676 0.0802
Si: 0.8542 0.8137 0.0816
Si: 0.8608 0.1879 0.4149
S: 0.1442 0.5240 0.5807
S: 0.1437 0.8112 0.5792
S: 0.1473 0.4804 0.9145
S: 0.1474 0.8570 0.2446
S: 0.2102 0.4999 0.2463
S: 0.2141 0.8339 0.9133
S: 0.2175 0.1653 0.5806
S: 0.2875 0.6656 0.0807
S: 0.2897 0.3352 0.4131
S: 0.2926 0.0003 0.7471
S: 0.3575 0.3561 0.7441
S: 0.3591 0.9792 0.4150
S: 0.3607 0.0245 0.0810
S: 0.3611 0.3113 0.0794
S: 0.6446 0.0235 0.5784
S: 0.6467 0.6458 0.2449
S: 0.6473 0.6868 0.9127
S: 0.6478 0.3583 0.2466
S: 0.6484 0.9772 0.9119
S: 0.7110 0.3357 0.9141
S: 0.7144 0.9979 0.2458
S: 0.7910 0.4986 0.7459
S: 0.7934 0.8346 0.4139
S: 0.8563 0.1460 0.7446
S: 0.8557 0.4778 0.4115
S: 0.8579 0.8571 0.7477
S: 0.8606 0.5235 0.0789
O: 0.0661 0.0951 0.1888
O: 0.0656 0.2347 0.9713
O: 0.0710 0.0893 0.9041
O: 0.0731 0.9001 0.5846
O: 0.0752 0.2417 0.2573
O: 0.0760 0.7672 0.5266
O: 0.0771 0.7650 0.2369
O: 0.0778 0.4354 0.5766
O: 0.0776 0.8935 0.2994
O: 0.0793 0.5689 0.6346
O: 0.0804 0.4473 0.8592
O: 0.0869 0.5710 0.9257
O: 0.1080 0.9109 0.9029
O: 0.1092 0.9112 0.1919
O: 0.1110 0.4241 0.2598
O: 0.1173 0.5818 0.2392
O: 0.1184 0.7520 0.9197
O: 0.1190 0.0805 0.3036
O: 0.1190 0.0854 0.5859
O: 0.1189 0.5775 0.5265
O: 0.1207 0.7577 0.6344
O: 0.1230 0.4227 0.9665
O: 0.1309 0.2486 0.5810
O: 0.1317 0.2460 0.8528
O: 0.1723 0.6565 0.7346
O: 0.1755 0.6735 0.4300
O: 0.1840 0.9841 0.4091
O: 0.1892 0.0175 0.0861
O: 0.1893 0.6539 0.0255
O: 0.1887 0.6731 0.1345
O: 0.1903 0.0141 0.8007
O: 0.1901 0.3492 0.7492
O: 0.1909 0.3216 0.0708
O: 0.1921 0.3235 0.3597
O: 0.2018 0.9791 0.6945
O: 0.2047 0.3568 0.4672
O: 0.3029 0.4811 0.1934
O: 0.3046 0.8520 0.9669
O: 0.3124 0.1537 0.5268
O: 0.3138 0.8209 0.5717
O: 0.3136 0.8208 0.8598
O: 0.3154 0.8478 0.2473
O: 0.3158 0.5162 0.2995
O: 0.3160 0.5178 0.5871
O: 0.3203 0.1703 0.6359
O: 0.3233 0.4881 0.9080
O: 0.3298 0.1730 0.9297
O: 0.3331 0.1551 0.2331
O: 0.3731 0.7457 0.3526
O: 0.3773 0.7476 0.0759
O: 0.3842 0.2532 0.4190
O: 0.3838 0.2585 0.1340
O: 0.3846 0.5851 0.0833
O: 0.3871 0.0772 0.0260
O: 0.3866 0.9206 0.4667
O: 0.3893 0.5800 0.8040
O: 0.3898 0.0791 0.7410
O: 0.3936 0.9216 0.7604
O: 0.3954 0.4121 0.6928
O: 0.4004 0.4116 0.4020
O: 0.4158 0.0698 0.4267
O: 0.4261 0.0684 0.1343
O: 0.4274 0.3969 0.8004
O: 0.4272 0.9352 0.0764
O: 0.4273 0.9467 0.3596
O: 0.4284 0.2672 0.0263
O: 0.4302 0.2666 0.7390
O: 0.4317 0.4006 0.0834
O: 0.4332 0.7401 0.7606
O: 0.4335 0.5894 0.4042
O: 0.4405 0.5961 0.6893
O: 0.4398 0.7346 0.4714
O: 0.5588 0.4078 0.5897
O: 0.5691 0.9367 0.5709
O: 0.5711 0.2648 0.5224
O: 0.5726 0.7220 0.9661
O: 0.5762 0.4004 0.2993
O: 0.5769 0.2679 0.2410
O: 0.5790 0.0643 0.6342
O: 0.5789 0.0666 0.9176
O: 0.5794 0.6057 0.1913
O: 0.5793 0.9340 0.8592
O: 0.5826 0.5952 0.9026
O: 0.5889 0.7363 0.2512
O: 0.6062 0.2476 0.6382
O: 0.6089 0.2573 0.9242
O: 0.6087 0.4158 0.9087
O: 0.6090 0.5817 0.5861
O: 0.6141 0.0811 0.5262
O: 0.6137 0.9201 0.2513
O: 0.6148 0.7577 0.5706
O: 0.6159 0.5900 0.2989
O: 0.6188 0.0800 0.2387
O: 0.6196 0.7437 0.8597
O: 0.6271 0.4091 0.1920
O: 0.6328 0.9247 0.9662
O: 0.6715 0.8186 0.0784
O: 0.6724 0.1766 0.4223
O: 0.6768 0.1812 0.1386
O: 0.6779 0.1520 0.0213
O: 0.6843 0.1468 0.7403
O: 0.6842 0.4903 0.4016
O: 0.6879 0.8451 0.7594
O: 0.6906 0.5116 0.7998
O: 0.6913 0.5157 0.0823
O: 0.6938 0.8506 0.4670
O: 0.6948 0.4850 0.6919
O: 0.7064 0.8180 0.3596
O: 0.7971 0.3195 0.8596
O: 0.8095 0.9850 0.1911
O: 0.8107 0.3520 0.9670
O: 0.8120 0.0114 0.2991
O: 0.8136 0.0143 0.5838
O: 0.8167 0.3485 0.2557
O: 0.8174 0.6775 0.9199
O: 0.8198 0.9889 0.9022
O: 0.8210 0.6474 0.2397
O: 0.8279 0.6520 0.5218
O: 0.8280 0.6812 0.6388
O: 0.8329 0.3237 0.5810
O: 0.8719 0.4272 0.4664
O: 0.8727 0.9096 0.6936
O: 0.8851 0.5806 0.7396
O: 0.8902 0.2512 0.3559
O: 0.8901 0.2570 0.0704
O: 0.8902 0.4205 0.7527
O: 0.8908 0.0898 0.7996
O: 0.8924 0.5822 0.0255
O: 0.8941 0.7551 0.4242
O: 0.8962 0.0809 0.0860
O: 0.8965 0.9129 0.4088
O: 0.8997 0.7471 0.1385
O: 0.9164 0.2360 0.7516
O: 0.9246 0.5685 0.4179
O: 0.9262 0.0866 0.4000
O: 0.9264 0.1046 0.6923
O: 0.9265 0.4373 0.3588
O: 0.9272 0.5640 0.1334
O: 0.9277 0.7676 0.7414
O: 0.9291 0.8997 0.8003
O: 0.9337 0.7626 0.0224
O: 0.9354 0.4373 0.0691
O: 0.9459 0.9070 0.0881
O: 0.9492 0.2208 0.4724

The formation enthalpy at 0 K comes out at -2458 meV per atom. As for the uncorrected energy: -6.895 eV/atom. For the energy with MP2020 corrections, the calculation gives -0.2707 hartree per atom.

No. 2
A geometry-optimized Hf2TcRh structure, computed with GGA-PBE.

Cell: 4.6158 4.6158 4.6158 Å, 60.00 60.00 60.00°
Fractional coordinates of all 4 atoms:
Hf: 0.2500 0.2500 0.2500
Hf: 0.7500 0.7500 0.7500
Tc: 0.0000 0.0000 0.0000
Rh: 0.5000 0.5000 0.5000

The formation enthalpy at 0 K comes out at -780 meV per atom. As for the uncorrected energy: -10.190 eV/atom.

No. 3
A geometry-optimized KCeF4 structure, computed with GGA-PBE.

Cell: 6.3770 3.7947 15.8304 Å, 90.00 90.00 90.00°
Fractional coordinates of all 24 atoms:
K: 0.2230 0.2500 0.2017
K: 0.2770 0.7500 0.7017
K: 0.7230 0.2500 0.2983
K: 0.7770 0.7500 0.7983
Ce: 0.2490 0.7500 0.4381
Ce: 0.2510 0.2500 0.9381
Ce: 0.7490 0.7500 0.0619
Ce: 0.7510 0.2500 0.5619
F: 0.0047 0.2500 0.0591
F: 0.0884 0.2500 0.8059
F: 0.1038 0.2500 0.3639
F: 0.1362 0.2500 0.5361
F: 0.3638 0.7500 0.0361
F: 0.3962 0.7500 0.8639
F: 0.4116 0.7500 0.3059
F: 0.4953 0.7500 0.5591
F: 0.5047 0.2500 0.4409
F: 0.5884 0.2500 0.6941
F: 0.6038 0.2500 0.1361
F: 0.6362 0.2500 0.9639
F: 0.8638 0.7500 0.4639
F: 0.8962 0.7500 0.6361
F: 0.9116 0.7500 0.1941
F: 0.9953 0.7500 0.9409

The formation enthalpy at 0 K comes out at -3914 meV per atom. As for the uncorrected energy: -6.056 eV/atom. For the energy with MP2020 corrections, the calculation gives -0.2339 hartree per atom.